No. 1
## BaCaMg30O32 (PBE-GGA)

Data for a relaxed structure of BaCaMg30O32.

Summary:
Volume, Å³/cell: 657.05
Uncorrected energy, eV per atom: -5.90

Cell: 8.699 8.699 8.684 Å, 90.00 90.00 90.00°
Space group P4/mmm (No. 123)
Unique sites:
Ba 0.000 0.000 0.000 x1
Ca 0.500 0.500 0.000 x1
Mg 0.000 0.000 0.500 x1
Mg 0.000 0.257 0.257 x8
Mg 0.000 0.500 0.000 x2
Mg 0.000 0.500 0.500 x2
Mg 0.247 0.500 0.253 x8
Mg 0.250 0.250 0.500 x4
Mg 0.254 0.254 0.000 x4
Mg 0.500 0.500 0.500 x1
O 0.000 0.000 0.279 x2
O 0.000 0.256 0.500 x4
O 0.000 0.278 0.000 x4
O 0.000 0.500 0.258 x4
O 0.242 0.500 0.000 x4
O 0.249 0.500 0.500 x4
O 0.250 0.250 0.250 x8
O 0.500 0.500 0.263 x2

=====

No. 2
## BaCaMg6O8 (PBE-GGA)

Data for a relaxed structure of BaCaMg6O8.

Summary:
Volume, Å³/cell: 202.37
ΔE to the lowest computed polymorph, meV/atom: 87

Cell: 4.681 4.681 9.235 Å, 90.00 90.00 90.00°
Space group P4/mmm (No. 123)
Unique sites:
Ba 0.000 0.000 0.000 x1
Ca 0.000 0.000 0.500 x1
Mg 0.000 0.500 0.262 x4
Mg 0.500 0.500 0.000 x1
Mg 0.500 0.500 0.500 x1
O 0.000 0.000 0.268 x2
O 0.000 0.500 0.000 x2
O 0.000 0.500 0.500 x2
O 0.500 0.500 0.255 x2

=====

No. 3
## BaCa2MgSi2O8 (PBE-GGA)

Data for a relaxed structure of BaCa2MgSi2O8.

Summary:
Volume, Å³/cell: 179.48
ΔE to the lowest computed polymorph, meV/atom: 20

Cell: 5.4981 5.4981 6.8558 Å, 90.00 90.00 120.00°
Space group P-3m1 (No. 164)
Unique sites:
Ba 0.0000 0.0000 0.0000 x1
Ca 0.3333 0.6667 0.6591 x2
Mg 0.0000 0.0000 0.5000 x1
Si 0.3333 0.6667 0.2239 x2
O 0.1753 0.3506 0.3232 x6
O 0.3333 0.6667 0.9872 x2

=====

No. 4
## BaCa2MgSi2O8 (PBE-GGA)

Data for a relaxed structure of BaCa2MgSi2O8.

Summary:
Volume, Å³/cell: 179.68
ΔE to the lowest computed polymorph, meV/atom: 0

Cell: 5.4847 5.4847 6.8972 Å, 90.00 90.00 120.00°
Space group P-3 (No. 147)
Unique sites:
Ba 0.0000 0.0000 0.0000 x1
Ca 0.3333 0.6667 0.3383 x2
Mg 0.0000 0.0000 0.5000 x1
Si 0.3333 0.6667 0.7723 x2
O 0.1169 0.7629 0.6759 x6
O 0.3333 0.6667 0.0075 x2

=====

No. 5
## BaSrCaMgSi2O8 (PBE-GGA)

Data for a relaxed structure of BaSrCaMgSi2O8.

Summary:
Volume, Å³/cell: 185.26
Uncorrected energy, eV per atom: -7.09

Cell: 5.5317 5.5317 6.9909 Å, 90.00 90.00 120.00°
Space group P3m1 (No. 156)
Unique sites:
Ba 0.0000 0.0000 0.0000 x1
Sr 0.3333 0.6667 0.3417 x1
Ca 0.6667 0.3333 0.6684 x1
Mg 0.0000 0.0000 0.5010 x1
Si 0.3333 0.6667 0.7733 x1
Si 0.6667 0.3333 0.2271 x1
O 0.1746 0.3493 0.6787 x3
O 0.3333 0.6667 0.0036 x1
O 0.3504 0.1752 0.3228 x3
O 0.6667 0.3333 0.9937 x1

=====

No. 6
## Ba3Sr2Ca4Mg3Si6O24 (PBE-GGA)

Data for a relaxed structure of Ba3Sr2Ca4Mg3Si6O24.

Summary:
Volume, Å³/cell: 549.97
Uncorrected energy, eV per atom: -7.11

Cell: 5.5175 5.5175 20.8607 Å, 90.00 90.00 120.00°
Space group P3 (No. 143)
Unique sites:
Ba 0.0000 0.0000 0.0000 x1
Ba 0.0000 0.0000 0.3305 x1
Ba 0.0000 0.0000 0.6658 x1
Sr 0.3333 0.6667 0.4445 x1
Sr 0.3333 0.6667 0.7805 x1
Ca 0.3333 0.6667 0.1111 x1
Ca 0.6667 0.3333 0.2197 x1
Ca 0.6667 0.3333 0.5547 x1
Ca 0.6667 0.3333 0.8890 x1
Mg 0.0000 0.0000 0.1640 x1
Mg 0.0000 0.0000 0.4986 x1
Mg 0.0000 0.0000 0.8337 x1
Si 0.3333 0.6667 0.2532 x1
Si 0.3333 0.6667 0.5895 x1
Si 0.3333 0.6667 0.9256 x1
Si 0.6667 0.3333 0.0746 x1
Si 0.6667 0.3333 0.4071 x1
Si 0.6667 0.3333 0.7419 x1
O 0.1133 0.7578 0.2218 x3
O 0.1182 0.7640 0.5579 x3
O 0.1199 0.7656 0.8934 x3
O 0.3333 0.6667 0.0029 x1
O 0.3333 0.6667 0.3305 x1
O 0.3333 0.6667 0.6668 x1
O 0.3498 0.1512 0.4387 x3
O 0.3500 0.1524 0.7738 x3
O 0.3552 0.1146 0.1059 x3
O 0.6667 0.3333 0.3292 x1
O 0.6667 0.3333 0.6639 x1
O 0.6667 0.3333 0.9966 x1